No. 1
Material: AgSbTeSe
Method: DFT, PBE-GGA
State: optimized geometry

Cell lengths 4.117, 4.117, 6.212 Å; angles 90.00, 90.00, 90.00 degrees
Element x y z (fractional)
Te: 0.500 0.500 0.000
Ag: 0.000 0.000 0.000
Se: 0.000 0.000 0.500
Sb: 0.500 0.500 0.500

## Properties
symmetry = P4/mmm, No. 123
spin magnetization = 0.0 Bohr magnetons per cell
E = -3.4779 eV per atom
formation energy = -0.196 eV/atom

---

No. 2
Material: SrAg4Sb2
Method: DFT, PBE-GGA
State: optimized geometry

Cell lengths 4.822, 4.822, 8.946 Å; angles 74.37, 74.37, 60.00 degrees
Element x y z (fractional)
Ag: 0.435 0.435 0.695
Ag: 0.565 0.565 0.305
Ag: 0.142 0.142 0.574
Ag: 0.858 0.858 0.426
Sb: 0.746 0.746 0.762
Sb: 0.254 0.254 0.238
Sr: 0.000 0.000 0.000

## Properties
symmetry = R-3m, No. 166
E = -3.3472 eV per atom
formation energy = -0.362 eV/atom

---

No. 3
Material: Ag3SbTe4
Method: DFT, PBE-GGA
State: optimized geometry

Cell lengths 5.985, 5.985, 5.985 Å; angles 90.00, 90.00, 90.00 degrees
Element x y z (fractional)
Ag: 0.000 0.500 0.500
Ag: 0.500 0.500 0.000
Ag: 0.500 0.000 0.500
Te: 0.000 0.000 0.500
Te: 0.000 0.000 0.000
Te: 0.500 0.000 0.000
Te: 0.000 0.500 0.000
Sb: 0.500 0.500 0.500

## Properties
symmetry = Pm-3m, No. 221
spin magnetization = 0.0 Bohr magnetons per cell
E = -3.1124 eV per atom
formation energy = -0.173 eV/atom

---

No. 4
Material: ScAg3
Method: DFT, PBE-GGA
State: optimized geometry

Cell lengths 4.752, 4.752, 4.752 Å; angles 60.00, 60.00, 60.00 degrees
Element x y z (fractional)
Ag: 0.750 0.750 0.750
Ag: 0.250 0.250 0.250
Ag: 0.500 0.500 0.500
Sc: 0.000 0.000 0.000

## Properties
symmetry = Fm-3m, No. 225
E = -3.8901 eV per atom
formation energy = -0.183 eV/atom

---

No. 5
Material: ScAg2
Method: DFT, PBE-GGA
State: optimized geometry

Cell lengths 3.581, 3.581, 5.149 Å; angles 110.35, 110.35, 90.00 degrees
Element x y z (fractional)
Ag: 0.665 0.665 0.331
Ag: 0.335 0.335 0.669
Sc: 0.000 0.000 0.000

## Properties
symmetry = I4/mmm, No. 139
E = -4.3071 eV per atom
formation energy = -0.308 eV/atom

---

No. 6
Material: ScAg4
Method: DFT, PBE-GGA
State: optimized geometry

Cell lengths 4.119, 5.158, 5.158 Å; angles 80.83, 66.47, 66.47 degrees
Element x y z (fractional)
Sc: 0.000 0.000 0.000
Ag: 0.400 0.399 0.800
Ag: 0.600 0.601 0.200
Ag: 0.200 0.200 0.399
Ag: 0.800 0.800 0.601

## Properties
symmetry = I4/m, No. 87
E = -3.7343 eV per atom
formation energy = -0.202 eV/atom

---

No. 7
Material: ScAgSn
Method: DFT, PBE-GGA
State: optimized geometry

Cell lengths 8.415, 8.415, 8.415 Å; angles 129.43, 117.04, 84.85 degrees
Element x y z (fractional)
Ag: 0.000 0.999 0.999
Ag: 0.356 0.245 0.844
Ag: 0.644 0.488 0.890
Ag: 0.902 0.245 0.390
Ag: 0.098 0.488 0.344
Ag: 0.500 0.999 0.499
Sc: 0.959 0.243 0.784
Sc: 0.521 0.781 0.761
Sc: 0.251 0.682 0.930
Sc: 0.041 0.825 0.284
Sc: 0.479 0.240 0.261
Sc: 0.749 0.679 0.430
Sn: 0.164 0.910 0.740
Sn: 0.330 0.576 0.240
Sn: 0.836 0.576 0.746
Sn: 0.272 0.266 0.494
Sn: 0.728 0.222 0.994
Sn: 0.670 0.910 0.246

## Properties
symmetry = Ima2, No. 46
E = -4.8523 eV per atom
formation energy = -0.461 eV/atom

---

No. 8
Material: ScAgSn
Method: DFT, PBE-GGA
State: optimized geometry

Cell lengths 4.388, 7.198, 7.198 Å; angles 120.00, 90.00, 90.00 degrees
Element x y z (fractional)
Ag: 0.500 0.245 0.000
Ag: 0.500 0.755 0.755
Ag: 0.500 0.000 0.245
Sn: 0.500 0.333 0.667
Sn: 0.000 0.000 0.000
Sn: 0.500 0.667 0.333
Sc: 0.000 0.438 0.438
Sc: 0.000 0.562 0.000
Sc: 0.000 0.000 0.562

## Properties
symmetry = P-62m, No. 189
spin magnetization = 0.0 Bohr magnetons per cell
E = -4.8520 eV per atom
formation energy = -0.460 eV/atom

---

No. 9
Material: Sc2TcAg
Method: DFT, PBE-GGA
State: optimized geometry

Cell lengths 4.701, 4.701, 4.701 Å; angles 60.00, 60.00, 60.00 degrees
Element x y z (fractional)
Sc: 0.250 0.250 0.250
Sc: 0.750 0.750 0.750
Tc: 0.000 0.000 0.000
Ag: 0.500 0.500 0.500

## Properties
symmetry = Fm-3m, No. 225
E = -6.7081 eV per atom
formation energy = -0.244 eV/atom

---

No. 10
Material: Sc2TlAg
Method: DFT, PBE-GGA
State: optimized geometry

Cell lengths 4.986, 4.986, 4.986 Å; angles 60.00, 60.00, 60.00 degrees
Element x y z (fractional)
Sc: 0.250 0.250 0.250
Sc: 0.750 0.750 0.750
Tl: 0.000 0.000 0.000
Ag: 0.500 0.500 0.500

## Properties
symmetry = Fm-3m, No. 225
E = -4.7679 eV per atom
formation energy = -0.303 eV/atom

---

No. 11
Material: AgSe5
Method: DFT, PBE-GGA
State: optimized geometry

Cell lengths 11.155, 11.155, 6.910 Å; angles 74.95, 74.95, 119.83 degrees
Element x y z (fractional)
Se: 0.142 0.280 0.029
Se: 0.280 0.142 0.529
Se: 0.518 0.653 0.384
Se: 0.497 0.145 0.368
Se: 0.713 0.407 0.158
Se: 0.632 0.395 0.655
Se: 0.395 0.632 0.155
Se: 0.407 0.713 0.658
Se: 0.653 0.518 0.884
Se: 0.145 0.497 0.868
Ag: 0.334 0.367 0.205
Ag: 0.367 0.334 0.705

## Properties
symmetry = Cc, No. 9
spin magnetization = 0.0 Bohr magnetons per cell
E = -3.2942 eV per atom
formation energy = -0.302 eV/atom

---

No. 12
Material: Ag3Se
Method: DFT, PBE-GGA
State: optimized geometry

Cell lengths 6.026, 6.026, 4.852 Å; angles 90.00, 90.00, 120.00 degrees
Element x y z (fractional)
Se: 0.667 0.333 0.250
Se: 0.333 0.667 0.750
Ag: 0.675 0.837 0.250
Ag: 0.163 0.325 0.250
Ag: 0.837 0.675 0.750
Ag: 0.163 0.837 0.250
Ag: 0.325 0.163 0.750
Ag: 0.837 0.163 0.750

## Properties
symmetry = P6_3/mmc, No. 194
spin magnetization = 0.0 Bohr magnetons per cell
E = -2.9782 eV per atom
formation energy = -0.098 eV/atom

---

No. 13
Material: Sm4Ag2Se7
Method: DFT, PBE-GGA
State: optimized geometry

Cell lengths 12.425, 7.410, 7.790 Å; angles 71.16, 90.00, 90.00 degrees
Element x y z (fractional)
Se: 0.576 0.414 0.634
Se: 0.300 0.854 0.507
Se: 0.700 0.854 0.007
Se: 0.012 0.227 0.374
Se: 0.069 0.819 0.182
Se: 0.832 0.555 0.409
Se: 0.988 0.227 0.874
Se: 0.752 0.340 0.010
Se: 0.168 0.555 0.909
Se: 0.340 0.049 0.946
Se: 0.248 0.340 0.510
Se: 0.931 0.819 0.682
Se: 0.660 0.049 0.446
Se: 0.424 0.414 0.134
Sm: 0.055 0.542 0.551
Sm: 0.632 0.479 0.254
Sm: 0.143 0.978 0.758
Sm: 0.368 0.479 0.754
Sm: 0.857 0.978 0.258
Sm: 0.784 0.174 0.708
Sm: 0.216 0.174 0.208
Sm: 0.945 0.542 0.051
Ag: 0.319 0.703 0.210
Ag: 0.681 0.703 0.710
Ag: 0.551 0.116 0.039
Ag: 0.449 0.116 0.539

## Properties
symmetry = Pc, No. 7
spin magnetization = 0.0 Bohr magnetons per cell
E = -5.1620 eV per atom
formation energy = -1.646 eV/atom

---

No. 14
Material: Ag2SnSe3
Method: DFT, PBE-GGA
State: optimized geometry

Cell lengths 7.498, 7.498, 28.522 Å; angles 87.43, 87.43, 119.82 degrees
Element x y z (fractional)
Ag: 0.226 0.062 0.860
Ag: 0.292 0.472 0.610
Ag: 0.424 0.586 0.235
Ag: 0.887 0.375 0.860
Ag: 0.586 0.424 0.735
Ag: 0.024 0.520 0.485
Ag: 0.520 0.024 0.985
Ag: 0.854 0.685 0.986
Ag: 0.916 0.097 0.736
Ag: 0.062 0.226 0.360
Ag: 0.632 0.126 0.610
Ag: 0.097 0.916 0.236
Ag: 0.685 0.854 0.486
Ag: 0.472 0.292 0.110
Ag: 0.375 0.887 0.360
Ag: 0.126 0.632 0.110
Se: 0.772 0.942 0.201
Se: 0.645 0.804 0.579
Se: 0.894 0.052 0.828
Se: 0.194 0.024 0.953
Se: 0.804 0.645 0.079
Se: 0.594 0.101 0.702
Se: 0.942 0.772 0.701
Se: 0.052 0.894 0.328
Se: 0.399 0.572 0.328
Se: 0.863 0.362 0.953
Se: 0.362 0.863 0.453
Se: 0.517 0.685 0.951
Se: 0.685 0.517 0.451
Se: 0.572 0.399 0.828
Se: 0.264 0.433 0.704
Se: 0.024 0.194 0.453
Se: 0.474 0.968 0.078
Se: 0.729 0.235 0.326
Se: 0.142 0.305 0.076
Se: 0.968 0.474 0.578
Se: 0.305 0.142 0.576
Se: 0.433 0.264 0.204
Se: 0.235 0.729 0.826
Se: 0.101 0.594 0.202
Sn: 0.564 0.714 0.856
Sn: 0.714 0.564 0.356
Sn: 0.788 0.958 0.106
Sn: 0.758 0.273 0.231
Sn: 0.167 0.331 0.981
Sn: 0.958 0.788 0.606
Sn: 0.273 0.758 0.731
Sn: 0.331 0.167 0.481

## Properties
symmetry = Cc, No. 9
E = -3.6009 eV per atom
formation energy = -0.476 eV/atom

---

No. 15
Material: AgSnSe2
Method: DFT, PBE-GGA
State: optimized geometry

Cell lengths 7.033, 7.033, 7.033 Å; angles 33.55, 33.55, 33.55 degrees
Element x y z (fractional)
Ag: 0.000 0.000 0.000
Se: 0.748 0.748 0.748
Se: 0.252 0.252 0.252
Sn: 0.500 0.500 0.500

## Properties
symmetry = R-3m, No. 166
E = -3.7473 eV per atom
formation energy = -0.525 eV/atom

---

No. 16
Material: Ag8SnSe6
Method: DFT, PBE-GGA
State: optimized geometry

Cell lengths 7.945, 8.127, 11.222 Å; angles 90.00, 90.00, 90.00 degrees
Element x y z (fractional)
Sn: 0.247 0.500 0.016
Sn: 0.753 0.000 0.516
Ag: 0.887 0.788 0.865
Ag: 0.887 0.212 0.865
Ag: 0.169 0.726 0.636
Ag: 0.699 0.500 0.966
Ag: 0.377 0.000 0.035
Ag: 0.831 0.774 0.136
Ag: 0.831 0.226 0.136
Ag: 0.113 0.712 0.365
Ag: 0.475 0.193 0.260
Ag: 0.113 0.288 0.365
Ag: 0.475 0.807 0.260
Ag: 0.525 0.307 0.760
Ag: 0.623 0.500 0.535
Ag: 0.169 0.274 0.636
Ag: 0.301 0.000 0.466
Ag: 0.525 0.693 0.760
Se: 0.004 0.500 0.168
Se: 0.494 0.000 0.652
Se: 0.757 0.260 0.389
Se: 0.243 0.240 0.889
Se: 0.757 0.740 0.389
Se: 0.290 0.500 0.500
Se: 0.802 0.500 0.745
Se: 0.506 0.500 0.152
Se: 0.710 0.000 0.000
Se: 0.243 0.760 0.889
Se: 0.996 0.000 0.668
Se: 0.198 0.000 0.245

## Properties
symmetry = Pmn2_1, No. 31
E = -3.3273 eV per atom
formation energy = -0.340 eV/atom

---

No. 17
Material: TbAgSe2
Method: DFT, PBE-GGA
State: optimized geometry

Cell lengths 5.751, 5.751, 7.269 Å; angles 113.30, 113.30, 90.00 degrees
Element x y z (fractional)
Tb: 0.759 0.759 0.518
Tb: 0.009 0.509 0.018
Ag: 0.514 0.014 0.027
Ag: 0.264 0.264 0.527
Se: 0.769 0.269 0.537
Se: 0.999 0.999 0.998
Se: 0.519 0.519 0.037
Se: 0.249 0.749 0.498

## Properties
symmetry = I4_1md, No. 109
spin magnetization = 0.0 Bohr magnetons per cell
E = -4.7824 eV per atom
formation energy = -1.404 eV/atom